Rb3FeMo4O15 | PBE+U | relaxed

Computed properties:
Uncorrected energy in eV/atom: -6.443

a = 11.8734 Å, b = 14.0471 Å, c = 10.0185 Å
α = 90.00°, β = 93.06°, γ = 90.00°
With the nearest neighbours (Å) after each atom.
Element x y z (fractional)
Rb1 0.0009 0.1850 0.3937  7 O 2.93-3.19
Rb2 0.0009 0.3150 0.8937  7 O 2.93-3.19
Rb3 0.2396 0.5519 0.8184  6 O 2.88-3.21
Rb4 0.2396 0.9481 0.3184  6 O 2.88-3.21
Rb5 0.4921 0.6859 0.1185  7 O 2.92-3.26
Rb6 0.4921 0.8141 0.6185  7 O 2.92-3.26
Rb7 0.5079 0.1859 0.3815  7 O 2.92-3.26
Rb8 0.5079 0.3141 0.8815  7 O 2.92-3.26
Rb9 0.7604 0.0519 0.6816  6 O 2.88-3.21
Rb10 0.7604 0.4481 0.1816  6 O 2.88-3.21
Rb11 0.9991 0.6850 0.1063  7 O 2.93-3.19
Rb12 0.9991 0.8150 0.6063  7 O 2.93-3.19
Fe1 0.0000 0.0000 0.0000  6 O 2.03-2.07
Fe2 0.0000 0.5000 0.5000  6 O 2.03-2.07
Fe3 0.5000 0.0000 0.0000  6 O 2.01-2.07
Fe4 0.5000 0.5000 0.5000  6 O 2.01-2.07
Mo1 0.1012 0.0595 0.7227  3 O 1.75-1.86
Mo2 0.1012 0.4405 0.2227  3 O 1.75-1.86
Mo3 0.2358 0.6338 0.4426  4 O 1.76-1.83
Mo4 0.2358 0.8662 0.9426  4 O 1.76-1.83
Mo5 0.2681 0.1476 0.0087  4 O 1.74-1.92
Mo6 0.2681 0.3524 0.5087  4 O 1.74-1.92
Mo7 0.4020 0.0690 0.6986  4 O 1.75-1.90
Mo8 0.4020 0.4310 0.1986  4 O 1.75-1.90
Mo9 0.5980 0.5690 0.8014  4 O 1.75-1.90
Mo10 0.5980 0.9310 0.3014  4 O 1.75-1.90
Mo11 0.7319 0.6476 0.4913  4 O 1.74-1.92
Mo12 0.7319 0.8524 0.9913  4 O 1.74-1.92
Mo13 0.7642 0.1338 0.0574  4 O 1.76-1.83
Mo14 0.7642 0.3662 0.5574  4 O 1.76-1.83
Mo15 0.8988 0.5595 0.7773  3 O 1.75-1.86
Mo16 0.8988 0.9405 0.2773  3 O 1.75-1.86
O1 0.0066 0.0173 0.2018  1 Mo 1.86, 1 Fe 2.03
O2 0.0066 0.4827 0.7018  1 Mo 1.86, 1 Fe 2.03
O3 0.0267 0.1662 0.6930  1 Mo 1.76
O4 0.0267 0.3338 0.1930  1 Mo 1.76
O5 0.1032 0.6185 0.5252  1 Mo 1.83
O6 0.1032 0.8815 0.0253  1 Mo 1.83
O7 0.1121 0.0134 0.5617  1 Mo 1.75
O8 0.1121 0.4866 0.0617  1 Mo 1.75
O9 0.1361 0.0769 0.9497  1 Mo 1.92, 1 Fe 2.03
O10 0.1361 0.4231 0.4497  1 Mo 1.92, 1 Fe 2.03
O11 0.2172 0.5928 0.2746  1 Mo 1.78
O12 0.2172 0.9072 0.7746  1 Mo 1.78
O13 0.2444 0.2320 0.4752  1 Mo 1.74
O14 0.2444 0.2680 0.9752  1 Mo 1.74
O15 0.2592 0.1103 0.7526  2 Mo 1.90-2.02
O16 0.2592 0.3897 0.2526  2 Mo 1.90-2.02
O17 0.2708 0.1360 0.1820  1 Mo 1.74
O18 0.2708 0.3640 0.6820  1 Mo 1.74
O19 0.2706 0.7442 0.9451  1 Mo 1.76
O20 0.2706 0.7558 0.4451  1 Mo 1.76
O21 0.3474 0.5648 0.5316  1 Mo 1.83
O22 0.3474 0.9352 0.0316  1 Mo 1.83
O23 0.3809 0.0178 0.5403  1 Mo 1.75
O24 0.3809 0.4822 0.0403  1 Mo 1.75
O25 0.4154 0.1217 0.9631  1 Mo 1.87, 1 Fe 2.01
O26 0.4154 0.3783 0.4631  1 Mo 1.87, 1 Fe 2.01
O27 0.4763 0.5223 0.3002  1 Mo 1.83, 1 Fe 2.03
O28 0.4763 0.9777 0.8002  1 Mo 1.83, 1 Fe 2.03
O29 0.4927 0.1661 0.6768  1 Mo 1.76
O30 0.4927 0.3339 0.1768  1 Mo 1.76
O31 0.5073 0.6661 0.8232  1 Mo 1.76
O32 0.5073 0.8339 0.3232  1 Mo 1.76
O33 0.5237 0.0223 0.1998  1 Mo 1.83, 1 Fe 2.03
O34 0.5237 0.4777 0.6998  1 Mo 1.83, 1 Fe 2.03
O35 0.5846 0.6217 0.5369  1 Mo 1.87, 1 Fe 2.01
O36 0.5846 0.8783 0.0369  1 Mo 1.87, 1 Fe 2.01
O37 0.6191 0.5178 0.9597  1 Mo 1.75
O38 0.6191 0.9822 0.4597  1 Mo 1.75
O39 0.6526 0.0648 0.9684  1 Mo 1.83
O40 0.6526 0.4352 0.4684  1 Mo 1.83
O41 0.7294 0.2442 0.5549  1 Mo 1.76
O42 0.7294 0.2558 0.0549  1 Mo 1.76
O43 0.7292 0.6360 0.3180  1 Mo 1.74
O44 0.7292 0.8640 0.8180  1 Mo 1.74
O45 0.7408 0.6103 0.7474  2 Mo 1.90-2.02
O46 0.7408 0.8897 0.2474  2 Mo 1.90-2.02
O47 0.7556 0.7320 0.0248  1 Mo 1.74
O48 0.7556 0.7680 0.5248  1 Mo 1.74
O49 0.7828 0.0928 0.2254  1 Mo 1.78
O50 0.7828 0.4072 0.7254  1 Mo 1.78
O51 0.8639 0.5769 0.5503  1 Mo 1.92, 1 Fe 2.03
O52 0.8639 0.9231 0.0503  1 Mo 1.92, 1 Fe 2.03
O53 0.8879 0.5134 0.9383  1 Mo 1.75
O54 0.8879 0.9866 0.4383  1 Mo 1.75
O55 0.8968 0.1185 0.9748  1 Mo 1.83
O56 0.8968 0.3815 0.4748  1 Mo 1.83
O57 0.9733 0.6662 0.8070  1 Mo 1.76
O58 0.9733 0.8338 0.3070  1 Mo 1.76
O59 0.9934 0.5173 0.2982  1 Mo 1.86, 1 Fe 2.03
O60 0.9934 0.9827 0.7982  1 Mo 1.86, 1 Fe 2.03

Rb2TiFe2Mo6O24 | PBE+U | relaxed

Computed properties:
Uncorrected energy in eV/atom: -6.987

a = 8.6017 Å, b = 8.6126 Å, c = 8.6315 Å
α = 99.27°, β = 99.20°, γ = 99.28°
With the nearest neighbours (Å) after each atom.
Element x y z (fractional)
Rb1 0.1851 0.1845 0.1873  12 O 3.32-3.64
Rb2 0.8149 0.8155 0.8127  12 O 3.32-3.64
Ti1 0.5000 0.5000 0.0000  6 O 1.94-1.97
Fe1 0.0000 0.5000 0.5000  6 O 1.99-2.03
Fe2 0.5000 0.0000 0.5000  6 O 1.99-2.02
Mo1 0.2130 0.6799 0.2291  4 O 1.74-1.84
Mo2 0.2295 0.2129 0.6792  4 O 1.74-1.84
Mo3 0.3204 0.7704 0.7877  4 O 1.74-1.84
Mo4 0.6796 0.2296 0.2123  4 O 1.74-1.84
Mo5 0.7705 0.7871 0.3208  4 O 1.74-1.84
Mo6 0.7870 0.3201 0.7709  4 O 1.74-1.84
O1 0.0332 0.6922 0.1109  1 Mo 1.74
O2 0.1102 0.0340 0.6920  1 Mo 1.74
O3 0.1106 0.3339 0.5787  1 Mo 1.80, 1 Fe 1.99
O4 0.1203 0.6652 0.6920  1 Mo 1.81, 1 Fe 2.01
O5 0.1741 0.5555 0.3740  1 Mo 1.81
O6 0.3075 0.8801 0.3335  1 Mo 1.81, 1 Fe 2.02
O7 0.3066 0.8912 0.9653  1 Mo 1.74
O8 0.3383 0.3133 0.8814  1 Mo 1.84, 1 Ti 1.96
O9 0.3384 0.5778 0.1086  1 Mo 1.84, 1 Ti 1.94
O10 0.3744 0.1736 0.5542  1 Mo 1.81, 1 Fe 2.02
O11 0.4210 0.8885 0.6658  1 Mo 1.80, 1 Fe 1.99
O12 0.4476 0.6238 0.8317  1 Mo 1.84, 1 Ti 1.97
O13 0.5524 0.3762 0.1683  1 Mo 1.84, 1 Ti 1.97
O14 0.5790 0.1115 0.3342  1 Mo 1.80, 1 Fe 1.99
O15 0.6256 0.8264 0.4458  1 Mo 1.81, 1 Fe 2.02
O16 0.6616 0.4222 0.8914  1 Mo 1.84, 1 Ti 1.94
O17 0.6617 0.6867 0.1186  1 Mo 1.84, 1 Ti 1.96
O18 0.6934 0.1088 0.0347  1 Mo 1.74
O19 0.6925 0.1199 0.6665  1 Mo 1.81, 1 Fe 2.02
O20 0.8259 0.4445 0.6260  1 Mo 1.81
O21 0.8797 0.3348 0.3080  1 Mo 1.81, 1 Fe 2.01
O22 0.8894 0.6661 0.4213  1 Mo 1.80, 1 Fe 1.99
O23 0.8898 0.9660 0.3080  1 Mo 1.74
O24 0.9668 0.3078 0.8891  1 Mo 1.74

Sr2FeMoO6 | PBE+U | relaxed

Computed properties:
Uncorrected energy in eV/atom: -6.813
Excess energy over the best structure of this formula in the dataset in meV per atom: 1

a = 5.6445 Å, b = 9.7421 Å, c = 5.6445 Å
α = 74.29°, β = 60.72°, γ = 74.29°
With the nearest neighbours (Å) after each atom.
Element x y z (fractional)
Sr1 0.6250 0.1250 0.6250  12 O 2.82-2.85
Sr2 0.1250 0.6250 0.1250  12 O 2.82-2.85
Sr3 0.3750 0.8750 0.3750  12 O 2.82-2.85
Sr4 0.8750 0.3750 0.8750  12 O 2.82-2.85
Fe1 0.4993 0.5006 0.4993  6 O 2.01-2.02
Fe2 0.9993 0.0007 0.9993  6 O 2.01-2.02
Mo1 0.2503 0.2497 0.2503  6 O 1.93-2.02
Mo2 0.7503 0.7497 0.7503  6 O 1.93-2.02
O1 0.1280 0.1279 0.1280  1 Mo 1.93, 1 Fe 2.02
O2 0.6280 0.6279 0.6280  1 Mo 1.93, 1 Fe 2.02
O3 0.8721 0.8721 0.8721  1 Mo 1.93, 1 Fe 2.02
O4 0.3721 0.3721 0.3721  1 Mo 1.93, 1 Fe 2.02
O5 0.3741 0.8753 0.8753  1 Fe 2.02, 1 Mo 2.02
O6 0.8741 0.3753 0.3753  1 Fe 2.02, 1 Mo 2.02
O7 0.1261 0.6246 0.6248  1 Fe 2.01, 1 Mo 2.02
O8 0.6261 0.1246 0.1248  1 Fe 2.01, 1 Mo 2.02
O9 0.8753 0.8753 0.3741  1 Fe 2.02, 1 Mo 2.02
O10 0.3753 0.3753 0.8741  1 Fe 2.02, 1 Mo 2.02
O11 0.6248 0.6246 0.1261  1 Fe 2.01, 1 Mo 2.02
O12 0.1248 0.1246 0.6261  1 Fe 2.01, 1 Mo 2.02

Sr3FeMoO7 | PBE+U | relaxed

Computed properties:
Uncorrected energy in eV/atom: -6.673

a = 10.7398 Å, b = 10.7398 Å, c = 10.7398 Å
α = 158.34°, β = 158.34°, γ = 30.83°
With the nearest neighbours (Å) after each atom.
Element x y z (fractional)
Sr1 0.0000 0.0000 0.0000  9 O 2.65-2.88
Sr2 0.1666 0.1666 0.0000  8 O 2.62-2.88
Sr3 0.3654 0.3654 0.0000  1 O 2.38
Fe1 0.5757 0.5757 0.0000  5 O 1.97-2.03
Mo1 0.7763 0.7763 0.0000  6 O 1.86-2.02
O1 0.0859 0.5859 0.5000  2 Fe 2.03
O2 0.2793 0.7793 0.5000  2 Mo 2.02
O3 0.4804 0.4804 0.0000  1 Fe 1.97
O4 0.5859 0.0859 0.5000  2 Fe 2.03
O5 0.6865 0.6865 0.0000  1 Mo 1.86
O6 0.7793 0.2793 0.5000  2 Mo 2.02
O7 0.8721 0.8721 0.0000  1 Mo 1.98

| no. | energy with MP2020 corrections (eV/atom) | formation energy (eV per atom) |
| --- | --- | --- |
| 1 | -7.55 | -1.94 |
| 2 | -8.14 | -2.12 |
| 3 | -7.77 | -2.53 |
| 4 | -7.53 | -2.61 |